Material: Na6Zr2Ti2Si5SO24
Method: DFT, PBE
State: optimized geometry

The structure in POSCAR format:
```
Na6Zr2Ti2Si5SO24
1.0
9.0761 0.0030 0.0218
-4.5355 7.8701 0.0070
0.0561 0.0530 22.6013
Ti Si Na O Zr S
6 15 18 72 6 3
Cartesian
4.7244 2.6793 10.9835
4.4588 7.7758 8.0074
9.1058 0.0408 14.6731
-0.0146 5.4505 11.7822
-0.1271 5.3293 18.3014
4.5742 2.6689 15.4341
7.2431 2.6658 13.2360
3.2136 5.6252 5.6997
1.3916 2.3766 16.8611
3.2416 0.4375 13.1656
-1.8898 7.8837 5.8030
-2.7023 5.2686 9.4931
-1.2613 7.5912 20.6519
5.8388 4.9596 1.8545
1.8423 2.6429 1.9112
1.9148 7.9086 16.9204
1.3814 7.6431 9.4875
7.7982 2.2514 5.6999
5.8448 5.6007 16.9521
3.2563 4.9197 13.1886
-1.2725 2.9822 20.6718
2.9143 5.0016 16.9352
4.6073 2.5313 18.7897
7.4125 2.8865 16.9498
4.4787 7.8455 11.2746
-2.8264 5.0051 5.6810
5.8833 5.3138 20.7451
0.0357 5.2424 3.7702
1.2547 7.8843 5.7511
-2.8708 5.5693 13.1976
-1.1790 2.6637 1.9708
2.9055 0.2934 9.4397
1.2088 2.6545 13.1791
0.0771 5.2603 15.0627
1.6310 2.8713 5.6371
1.7600 7.6328 13.2212
0.2227 0.1176 22.5910
4.6830 2.6896 7.7166
3.3732 0.1128 16.9282
5.4417 3.9440 9.7061
-0.9057 6.6694 21.9480
0.7376 1.6104 9.4064
-0.6619 6.7884 19.3080
5.1700 6.2079 18.3008
-3.4674 6.6162 15.6466
1.0863 3.7406 8.2392
-1.5618 5.4806 17.0394
3.9658 4.1629 5.6452
-0.9056 4.0061 13.0158
1.6210 0.2300 13.3427
3.6078 1.3284 5.6452
0.6881 6.9474 8.1601
3.0174 2.5239 16.7116
0.7527 6.8452 1.7770
6.2248 2.3661 11.9717
7.4242 0.3616 18.1767
1.6150 5.3795 5.8613
6.2562 2.9439 14.5268
-0.9270 6.5508 5.8371
5.3078 4.1646 0.5290
0.6899 3.8532 17.0566
2.8465 2.4292 0.6396
0.8005 3.6614 10.6710
3.9539 6.4072 13.3496
5.3135 0.9243 3.1554
1.0067 6.6480 10.7885
3.9672 1.1928 20.6851
2.9231 7.6452 15.6204
0.9981 6.5411 17.0749
1.8541 5.4371 21.9015
6.1631 3.0131 20.7155
2.7437 2.7591 3.2897
-2.8968 7.5814 20.5976
6.1586 2.3777 5.6471
5.6250 4.0182 3.2035
5.4850 1.3543 16.7413
8.1454 1.2200 6.9382
-0.5876 6.7877 13.0426
3.9847 1.1004 14.4812
2.8395 2.8037 9.5547
5.5672 1.1774 0.7296
1.8463 5.1668 19.4545
0.9385 4.0089 1.8558
3.0104 7.7504 9.3474
-2.7980 7.5695 4.4742
-0.8748 3.9831 19.3812
1.6772 0.2632 7.0829
7.3425 0.2591 1.9741
3.5002 1.3693 11.8586
-1.5874 5.0706 1.8261
-0.6011 3.7356 5.8427
0.7822 1.3878 1.9039
3.5446 4.0905 20.7604
-0.6336 1.4930 20.6204
0.6330 1.6292 15.5873
-3.5062 6.7019 9.3768
1.2360 1.3745 18.1467
4.0173 4.1300 11.9750
3.3953 6.5871 4.4089
5.1297 6.4177 1.9058
-0.6502 1.6616 4.2862
3.5150 3.9652 14.5213
3.9583 6.3486 6.9891
-1.5906 5.4833 10.7455
5.1227 1.1975 9.6640
8.1496 1.3000 13.3627
1.6150 5.0553 13.0163
-1.8319 5.0065 8.1193
-0.6589 3.6579 22.0396
3.5706 6.4859 20.6270
5.2394 4.0950 16.7607
-0.0773 5.1950 0.4495
0.0781 0.1564 19.2185
4.5086 2.7085 4.2834
-4.4014 7.8254 3.3377
4.5227 2.6370 22.0935
-0.0439 5.2828 7.2172
1.3629 2.9562 9.4980
5.8744 0.3256 1.9073
2.6675 5.3104 20.6748
```

Results
Crystal system ... triclinic
Symmetry ... No. 1
Energy relative to the elements ... -2993 meV per atom
Size of the total moment ... 0.00 μB/atom